Ca8Be5Al3Si18O56 after structural relaxation. Source: the Materials Project database, functional PBE.

a = 12.026 Å, b = 12.026 Å, c = 19.622 Å
α = 89.97°, β = 89.97°, γ = 155.64°
Sites, in units of the cell vectors:
Ca 0.669 0.840 0.353
O 0.615 0.393 0.750
O 0.968 0.971 0.386
O 0.654 0.540 0.572
O 0.074 0.658 0.940
O 0.360 0.099 0.536
Ca 0.846 0.677 0.152
O 0.203 0.671 0.336
Si 0.715 0.719 0.602
O 0.675 0.089 0.560
O 0.607 0.385 0.250
O 0.224 0.914 0.320
O 0.112 0.367 0.531
Si 0.355 0.926 0.357
O 0.570 0.574 0.682
Si 0.170 0.830 0.500
O 0.911 0.325 0.440
Si 0.924 0.352 0.357
Al 0.405 0.595 0.000
Si 0.645 0.074 0.857
O 0.350 0.466 0.433
O 0.639 0.901 0.037
Ca 0.160 0.331 0.647
Be 0.407 0.593 0.500
O 0.086 0.776 0.680
Si 0.224 0.225 0.251
O 0.534 0.650 0.567
O 0.574 0.574 0.816
O 0.204 0.672 0.165
O 0.775 0.085 0.820
O 0.383 0.606 0.250
O 0.328 0.796 0.835
O 0.914 0.223 0.320
Si 0.281 0.285 0.398
Al 0.595 0.405 0.000
O 0.426 0.430 0.318
Si 0.648 0.076 0.643
O 0.633 0.888 0.469
Si 0.355 0.926 0.143
Si 0.722 0.722 0.894
O 0.341 0.925 0.440
O 0.796 0.328 0.835
Si 0.775 0.776 0.749
O 0.796 0.328 0.665
O 0.926 0.342 0.060
O 0.329 0.797 0.664
O 0.342 0.926 0.060
O 0.991 0.109 0.250
Ca 0.323 0.154 0.848
O 0.915 0.225 0.180
Si 0.278 0.278 0.106
Si 0.074 0.645 0.643
Be 0.308 0.055 0.250
O 0.777 0.086 0.680
Ca 0.154 0.323 0.848
Ca 0.847 0.679 0.349
O 0.672 0.204 0.165
O 0.394 0.617 0.750
O 0.672 0.204 0.335
O 0.099 0.361 0.963
O 0.426 0.426 0.184
O 0.656 0.541 0.928
O 0.225 0.915 0.180
Si 0.074 0.645 0.857
O 0.361 0.099 0.963
Si 0.170 0.830 0.000
O 0.035 0.035 0.885
Si 0.834 0.166 0.500
O 0.111 0.994 0.251
Al 0.595 0.405 0.500
Ca 0.677 0.846 0.152
O 0.658 0.074 0.940
O 0.344 0.459 0.072
O 0.459 0.344 0.072
Si 0.926 0.355 0.143
O 0.541 0.656 0.928
O 0.460 0.346 0.428
O 0.965 0.965 0.115
Be 0.054 0.306 0.250
Si 0.830 0.170 0.000
O 0.029 0.032 0.614
Be 0.694 0.946 0.750
O 0.085 0.775 0.820
O 0.891 0.009 0.750
Ca 0.321 0.153 0.651
O 0.006 0.889 0.749
O 0.075 0.659 0.560
Be 0.945 0.692 0.750
O 0.901 0.640 0.464
O 0.901 0.639 0.037

Calculated values
Calculated total energy: -671.15 eV for the cell shown
Energy relative to the elements: -3.2100 eV per atom
Space group: C2



Na8BeAl4Si7Cl2O24 after structural relaxation. Source: the Materials Project database, functional PBE.

a = 8.986 Å, b = 8.986 Å, c = 9.036 Å
α = 90.00°, β = 90.00°, γ = 90.00°
Sites, in units of the cell vectors:
Si 0.500 0.500 0.500
O 0.645 0.550 0.904
O 0.047 0.858 0.604
O 0.144 0.956 0.102
O 0.341 0.857 0.290
O 0.451 0.354 0.404
O 0.646 0.451 0.596
Si 0.996 0.241 0.745
O 0.354 0.549 0.596
Si 0.500 0.500 0.000
O 0.341 0.145 0.199
O 0.857 0.659 0.710
O 0.549 0.646 0.404
O 0.659 0.855 0.199
Na 0.187 0.321 0.066
O 0.355 0.450 0.904
Cl 0.500 0.000 0.754
O 0.450 0.645 0.096
Al 0.248 0.500 0.750
Si 0.759 0.996 0.255
O 0.659 0.143 0.290
Be 0.000 0.000 0.500
Na 0.813 0.679 0.066
Na 0.702 0.820 0.561
O 0.956 0.856 0.898
Si 0.241 0.004 0.255
O 0.143 0.341 0.710
Na 0.321 0.813 0.934
O 0.855 0.341 0.801
O 0.858 0.953 0.396
Na 0.298 0.180 0.561
O 0.145 0.659 0.801
O 0.550 0.355 0.096
Cl 0.000 0.500 0.246
Na 0.180 0.702 0.439
O 0.044 0.144 0.898
O 0.953 0.142 0.604
Na 0.679 0.187 0.934
Si 0.000 0.000 0.000
Na 0.820 0.298 0.439
Al 0.752 0.500 0.750
O 0.856 0.044 0.102
O 0.142 0.047 0.396
Si 0.004 0.759 0.745
Al 0.500 0.248 0.250
Al 0.500 0.752 0.250

Calculated values
Calculated total energy: -309.66 eV for the cell shown
Energy relative to the elements: -2.9657 eV per atom
Space group: P-4
Piezoelectric modulus e_max: 0.33 C/m2



Be4AlFe after structural relaxation. Source: the Materials Project database, functional PBE.

a = 4.241 Å, b = 4.241 Å, c = 4.241 Å
α = 60.00°, β = 60.00°, γ = 60.00°
Sites, in units of the cell vectors:
Fe 0.000 0.000 0.000
Be 0.120 0.627 0.627
Be 0.627 0.627 0.627
Al 0.250 0.250 0.250
Be 0.627 0.627 0.120
Be 0.627 0.120 0.627

Calculated values
Calculated total energy: -28.59 eV for the cell shown
Energy relative to the elements: -0.2368 eV per atom
Space group: F-43m



BeAlSiHO5 after structural relaxation. Source: the Materials Project database, functional PBE.

a = 14.494 Å, b = 4.679 Å, c = 4.829 Å
α = 79.69°, β = 90.00°, γ = 90.00°
Sites, in units of the cell vectors:
Al 0.445 0.042 0.249
O 0.332 0.876 0.162
Be 0.199 0.543 0.675
O 0.876 0.654 0.120
O 0.448 0.787 0.600
Si 0.100 0.462 0.177
O 0.967 0.765 0.618
O 0.467 0.235 0.882
Be 0.801 0.457 0.325
O 0.668 0.124 0.838
Al 0.055 0.042 0.749
O 0.168 0.876 0.662
Al 0.555 0.958 0.751
H 0.795 0.986 0.467
Si 0.900 0.538 0.823
O 0.033 0.235 0.382
H 0.205 0.014 0.533
Si 0.600 0.538 0.323
H 0.295 0.014 0.033
H 0.705 0.986 0.967
O 0.052 0.787 0.100
O 0.700 0.526 0.155
O 0.800 0.526 0.655
Al 0.945 0.958 0.251
O 0.533 0.765 0.118
Si 0.400 0.462 0.677
O 0.300 0.474 0.845
O 0.624 0.654 0.620
O 0.124 0.346 0.880
O 0.200 0.474 0.345
O 0.948 0.213 0.900
Be 0.301 0.543 0.175
O 0.832 0.124 0.338
O 0.552 0.213 0.400
O 0.376 0.346 0.380
Be 0.699 0.457 0.825

Calculated values
Calculated total energy: -256.62 eV for the cell shown
Energy relative to the elements: -2.9496 eV per atom
Space group: P2_1/c



Be3Al2Si6HO18 after structural relaxation. Source: the Materials Project database, functional PBE.

a = 9.301 Å, b = 9.301 Å, c = 9.294 Å
α = 90.00°, β = 90.00°, γ = 120.00°
Sites, in units of the cell vectors:
O 0.354 0.855 0.645
O 0.499 0.145 0.855
O 0.074 0.310 0.000
Be 0.500 0.000 0.250
O 0.690 0.926 0.500
Al 0.333 0.667 0.250
Be 0.500 0.500 0.750
Si 0.612 0.885 0.000
Si 0.885 0.612 0.500
H 0.000 0.000 0.750
H 0.000 0.000 0.250
O 0.354 0.855 0.355
Al 0.667 0.333 0.750
O 0.236 0.310 0.500
O 0.499 0.354 0.645
O 0.646 0.145 0.645
O 0.855 0.501 0.645
O 0.926 0.690 0.000
O 0.310 0.074 0.500
Al 0.667 0.333 0.250
O 0.855 0.354 0.855
Si 0.388 0.272 0.500
Be 0.500 0.500 0.250
Be 0.000 0.500 0.250
O 0.764 0.074 0.000
O 0.501 0.855 0.145
O 0.310 0.236 0.000
O 0.354 0.499 0.855
O 0.499 0.145 0.145
Si 0.115 0.728 0.000
Si 0.885 0.272 0.000
Si 0.612 0.728 0.500
O 0.501 0.646 0.355
O 0.499 0.354 0.355
O 0.145 0.646 0.855
Si 0.728 0.612 0.000
O 0.646 0.501 0.145
O 0.236 0.926 0.000
O 0.926 0.236 0.500
O 0.145 0.499 0.355
Si 0.388 0.115 0.000
Si 0.728 0.115 0.500
O 0.074 0.764 0.500
O 0.764 0.690 0.500
Be 0.000 0.500 0.750
Si 0.272 0.388 0.000
Si 0.115 0.388 0.500
O 0.690 0.764 0.000
O 0.855 0.354 0.145
O 0.501 0.646 0.645
O 0.145 0.646 0.145
Si 0.272 0.885 0.500
O 0.145 0.499 0.645
Be 0.500 0.000 0.750
O 0.501 0.855 0.855
O 0.646 0.145 0.355
Al 0.333 0.667 0.750
O 0.646 0.501 0.855
O 0.354 0.499 0.145
O 0.855 0.501 0.355

Calculated values
Calculated total energy: -447.66 eV for the cell shown
Energy relative to the elements: -3.0826 eV per atom
Space group: P6/mcc



BeAlIr2 after structural relaxation. Source: the Materials Project database, functional PBE.

a = 4.135 Å, b = 4.135 Å, c = 4.135 Å
α = 60.00°, β = 60.00°, γ = 60.00°
Sites, in units of the cell vectors:
Ir 0.250 0.250 0.250
Al 0.500 0.500 0.500
Ir 0.750 0.750 0.750
Be 0.000 0.000 0.000

Calculated values
Calculated total energy: -28.26 eV for the cell shown
Energy relative to the elements: -0.7749 eV per atom
Space group: Fm-3m



LaBeAl3 after structural relaxation. Source: the Materials Project database, functional PBE.

a = 6.179 Å, b = 6.179 Å, c = 6.179 Å
α = 139.59°, β = 139.59°, γ = 58.47°
Sites, in units of the cell vectors:
La 0.000 0.000 0.000
Al 0.380 0.380 0.000
Be 0.250 0.750 0.500
Al 0.750 0.250 0.500
Al 0.620 0.620 0.000

Calculated values
Calculated total energy: -21.17 eV for the cell shown
Energy relative to the elements: -0.2520 eV per atom
Space group: I-4m2



La3BeAlS7 after structural relaxation. Source: the Materials Project database, functional PBE.

a = 10.258 Å, b = 10.258 Å, c = 5.874 Å
α = 90.00°, β = 90.00°, γ = 120.00°
Sites, in units of the cell vectors:
S 0.588 0.103 0.004
La 0.130 0.761 0.232
La 0.870 0.239 0.732
S 0.667 0.333 0.526
S 0.925 0.140 0.248
S 0.860 0.786 0.248
S 0.103 0.515 0.504
S 0.333 0.667 0.026
Be 0.000 0.000 0.000
S 0.075 0.860 0.748
La 0.631 0.870 0.232
La 0.761 0.631 0.732
Be 0.000 0.000 0.500
S 0.214 0.075 0.248
La 0.369 0.130 0.732
La 0.239 0.369 0.232
S 0.897 0.485 0.004
S 0.140 0.214 0.748
Al 0.667 0.333 0.151
S 0.485 0.588 0.504
S 0.515 0.412 0.004
S 0.786 0.925 0.748
Al 0.333 0.667 0.651
S 0.412 0.897 0.504

Calculated values
Calculated total energy: -143.40 eV for the cell shown
Energy relative to the elements: -1.9977 eV per atom
Space group: P6_3
Excess energy over the best structure of this formula in the dataset: 0.028 eV/atom



La3BeAlS7 after structural relaxation. Source: the Materials Project database, functional PBE.

a = 10.217 Å, b = 10.217 Å, c = 5.935 Å
α = 90.00°, β = 90.00°, γ = 120.00°
Sites, in units of the cell vectors:
S 0.217 0.141 0.766
S 0.333 0.667 0.516
Be 0.667 0.333 0.662
Be 0.333 0.667 0.162
Al 0.000 0.000 0.510
La 0.862 0.609 0.250
S 0.520 0.113 0.534
La 0.747 0.138 0.250
Al 0.000 0.000 0.010
S 0.593 0.480 0.534
S 0.924 0.783 0.766
La 0.609 0.747 0.750
La 0.253 0.862 0.750
S 0.887 0.407 0.534
S 0.667 0.333 0.016
S 0.141 0.924 0.266
La 0.138 0.391 0.750
S 0.859 0.076 0.766
S 0.113 0.593 0.034
La 0.391 0.253 0.250
S 0.783 0.859 0.266
S 0.480 0.887 0.034
S 0.407 0.520 0.034
S 0.076 0.217 0.266

Calculated values
Calculated total energy: -144.07 eV for the cell shown
Energy relative to the elements: -2.0256 eV per atom
Space group: P6_3
Excess energy over the best structure of this formula in the dataset: 0.000 eV/atom



MgBeAl4O8 after structural relaxation. Source: the Materials Project database, functional PBE.

a = 5.663 Å, b = 5.663 Å, c = 18.317 Å
α = 90.00°, β = 90.00°, γ = 120.00°
Sites, in units of the cell vectors:
Mg 0.000 0.000 0.156
Al 0.673 0.837 0.813
Al 0.003 0.501 0.562
Mg 0.000 0.000 0.656
O 0.493 0.987 0.752
O 0.360 0.180 0.500
Al 0.333 0.667 0.687
O 0.180 0.820 0.000
Al 0.667 0.333 0.187
O 0.667 0.333 0.622
Al 0.499 0.997 0.562
O 0.295 0.147 0.875
Mg 0.667 0.333 0.905
Al 0.327 0.163 0.313
Be 0.667 0.333 0.718
O 0.184 0.368 0.621
O 0.632 0.816 0.621
O 0.820 0.180 0.500
O 0.820 0.640 0.500
Be 0.333 0.667 0.218
Al 0.837 0.673 0.313
Al 0.501 0.499 0.062
O 0.640 0.820 0.000
O 0.000 0.000 0.260
O 0.493 0.507 0.752
Al 0.501 0.003 0.062
O 0.667 0.333 0.010
O 0.333 0.667 0.510
O 0.333 0.667 0.122
Al 0.837 0.163 0.313
O 0.507 0.493 0.252
Al 0.499 0.501 0.562
Be 0.667 0.333 0.455
O 0.147 0.853 0.375
O 0.333 0.667 0.867
O 0.853 0.147 0.875
O 0.816 0.632 0.121
Al 0.000 0.000 0.946
O 0.853 0.705 0.875
O 0.013 0.507 0.752
O 0.816 0.184 0.121
O 0.368 0.184 0.121
Al 0.163 0.327 0.813
O 0.705 0.853 0.375
Al 0.163 0.837 0.813
Al 0.000 0.000 0.446
O 0.184 0.816 0.621
O 0.000 0.000 0.760
O 0.507 0.013 0.252
Be 0.333 0.667 0.955
Al 0.997 0.499 0.062
O 0.147 0.295 0.375
O 0.667 0.333 0.367
O 0.987 0.493 0.252
Mg 0.333 0.667 0.405
O 0.180 0.360 0.000

Calculated values
Calculated total energy: -403.53 eV for the cell shown
Energy relative to the elements: -3.3194 eV per atom
Space group: P6_3mc



MnBe4Al after structural relaxation. Source: the Materials Project database, functional PBE.

a = 4.294 Å, b = 4.294 Å, c = 4.294 Å
α = 60.00°, β = 60.00°, γ = 60.00°
Sites, in units of the cell vectors:
Be 0.627 0.120 0.627
Be 0.627 0.627 0.627
Be 0.120 0.627 0.627
Al 0.250 0.250 0.250
Mn 0.000 0.000 0.000
Be 0.627 0.627 0.120

Calculated values
Calculated total energy: -28.89 eV for the cell shown
Energy relative to the elements: -0.1714 eV per atom
Space group: F-43m



Question: Number 2 is which compound?
Answer: Na8BeAl4Si7Cl2O24



Question: The lowest calculated total energy belongs to which entry?
Answer: Ca8Be5Al3Si18O56



Question: Which formula does entry 1 have?
Answer: Ca8Be5Al3Si18O56



Question: What is the formula in the eighth record?
Answer: La3BeAlS7